## LuMnO3 (GGA+U)

Data for LuMnO3 after structural relaxation.

Geometry as extended XYZ:
```
30
Lattice="6.103 0.000 0.000 -3.051 5.285 0.000 0.000 0.000 11.445" Properties=species:S:1:pos:R:3 pbc="T T T"
Lu 0.000 0.000 0.000
Lu 0.000 0.000 5.723
Lu 0.000 3.523 5.222
Lu 0.000 3.523 10.944
Lu 3.051 1.762 5.222
Lu 3.051 1.762 10.944
Mn -1.017 1.761 2.581
Mn -2.034 3.524 8.303
Mn 2.034 0.000 2.581
Mn 1.017 1.761 8.303
Mn 4.069 0.000 8.303
Mn 2.034 3.524 2.581
O 0.000 0.000 2.266
O 0.000 0.000 7.989
O -0.933 1.617 4.488
O -1.101 1.907 0.677
O -1.950 3.378 6.399
O -2.118 3.669 10.211
O 1.867 0.000 4.488
O 0.933 1.617 10.211
O 0.000 3.523 2.847
O 0.000 3.523 8.569
O 2.202 0.000 0.677
O 1.101 1.907 6.399
O 3.901 0.000 6.399
O 1.950 3.378 0.677
O 3.051 1.762 2.847
O 3.051 1.762 8.569
O 4.236 0.000 10.211
O 2.118 3.669 4.488
```

- space group = P6_3cm
- DFT formation energy (eV per atom) = -3.1106
- volume (Å³ per atom) = 12.3